[1]
Sr2LaMn2O7 | PBE with a Hubbard U | optimized geometry

a = 3.983 Å, b = 10.504 Å, c = 7.701 Å
α = 79.44°, β = 90.00°, γ = 79.08°
Fractional coordinates of all 24 atoms:
Mn: 0.902 0.196 0.451
Mn: 0.098 0.804 0.549
Mn: 0.902 0.196 0.951
Mn: 0.098 0.804 0.049
O: 0.000 0.000 0.000
O: 0.909 0.183 0.704
O: 0.091 0.817 0.296
O: 0.591 0.817 0.046
O: 0.194 0.613 0.597
O: 0.591 0.817 0.546
O: 0.409 0.183 0.454
O: 0.194 0.613 0.097
O: 0.806 0.387 0.403
O: 0.000 0.000 0.500
O: 0.806 0.387 0.903
O: 0.409 0.183 0.954
O: 0.091 0.817 0.796
O: 0.909 0.183 0.204
Sr: 0.316 0.367 0.658
Sr: 0.684 0.633 0.842
Sr: 0.316 0.367 0.158
Sr: 0.684 0.633 0.342
La: 0.500 0.000 0.750
La: 0.500 0.000 0.250

* calculated formation energy: -2.840 eV per atom
* corrected total energy (MP2020 scheme): -0.292 Ha/atom
* ρ: 5.7 Mg/m³
* energy relative to the lowest polymorph listed for this composition: 0.005 eV/atom

[2]
Sr2LaMn2O7 | PBE with a Hubbard U | optimized geometry

a = 10.667 Å, b = 10.667 Å, c = 7.694 Å
α = 100.38°, β = 100.38°, γ = 21.21°
Fractional coordinates of all 24 atoms:
Sr: 0.000 0.000 0.000
Sr: 0.000 0.000 0.496
Sr: 0.822 0.822 0.409
Sr: 0.822 0.822 0.909
La: 0.634 0.634 0.314
La: 0.634 0.634 0.815
Mn: 0.222 0.222 0.108
Mn: 0.222 0.222 0.609
Mn: 0.415 0.415 0.205
Mn: 0.416 0.416 0.706
O: 0.121 0.121 0.055
O: 0.123 0.123 0.562
O: 0.215 0.215 0.855
O: 0.216 0.216 0.356
O: 0.313 0.313 0.154
O: 0.316 0.316 0.656
O: 0.415 0.415 0.457
O: 0.415 0.415 0.954
O: 0.518 0.518 0.756
O: 0.525 0.525 0.261
O: 0.715 0.715 0.103
O: 0.716 0.716 0.608
O: 0.915 0.915 0.205
O: 0.915 0.915 0.705

* calculated formation energy: -2.820 eV per atom
* space-group type: No. 8
* corrected total energy (MP2020 scheme): -0.291 Ha/atom
* ρ: 5.7 Mg/m³
* energy relative to the lowest polymorph listed for this composition: 0.025 eV/atom

[3]
SrLaMnO3 | PBE with a Hubbard U | optimized geometry

a = 13.792 Å, b = 3.960 Å, c = 3.585 Å
α = 90.00°, β = 104.86°, γ = 90.00°
Fractional coordinates of all 12 atoms:
Sr: 0.000 0.000 0.000
Sr: 0.500 0.500 0.000
La: 0.293 0.000 0.288
La: 0.793 0.500 0.288
Mn: 0.142 0.500 0.640
Mn: 0.642 0.000 0.640
O: 0.154 0.000 0.645
O: 0.315 0.500 0.831
O: 0.470 0.000 0.481
O: 0.654 0.500 0.645
O: 0.815 0.000 0.831
O: 0.970 0.500 0.481

* calculated formation energy: -2.790 eV per atom
* space-group type: No. 8
* corrected total energy (MP2020 scheme): -0.290 Ha/atom
* ρ: 5.8 Mg/m³

Q: Which of these has the highest calculated formation energy?
A: SrLaMnO3

Q: The highest ρ belongs to which entry?
A: SrLaMnO3

Q: Which formula does entry 2 have?
A: Sr2LaMn2O7